# 1
VASP calculation (meta-GGA r2SCAN) on a relaxed structure of TbBO3.

The space group is Ama2 (No. 40) and the conventional cell measures 8.527, 6.472 and 4.324 Å, with angles of 90.00, 90.00 and 90.00 degrees. Symmetry generates all atoms from Tb at (0.000, 0.000, 0.000), B at (0.250, 0.137, 0.437), O at (0.104, 0.170, 0.569) and O at (0.250, 0.072, 0.136).

The calculation puts the uncorrected energy at -14.615 eV per atom. The value obtained for the calculated formation energy is -3.317 eV per atom. As for the total magnetic moment: 0.00 μB/cell.



# 2
VASP calculation (meta-GGA r2SCAN) on a relaxed structure of Na2ZrF6.

The space group is P2_1/c (No. 14) and the conventional cell measures 5.510, 5.349 and 15.950 Å, with angles of 90.00, 95.21 and 90.00 degrees. Symmetry generates all atoms from Na at (0.171, 0.005, 0.093), Na at (0.257, 0.035, 0.753), Zr at (0.323, 0.549, 0.901), F at (0.063, 0.722, 0.818), F at (0.103, 0.236, 0.362), F at (0.153, 0.726, 0.478), F at (0.367, 0.176, 0.513), F at (0.434, 0.688, 0.148) and F at (0.480, 0.214, 0.168).

The calculation puts the uncorrected energy at -9.039 eV per atom. The value obtained for the calculated formation energy is -3.635 eV per atom. As for the total magnetic moment: 0.00 μB/cell.



# 3
VASP calculation (meta-GGA r2SCAN) on a relaxed structure of ErB2Os.

The space group is Pnma (No. 62) and the conventional cell measures 5.841, 5.273 and 6.330 Å, with angles of 90.00, 90.00 and 90.00 degrees. Symmetry generates all atoms from Er at (0.010, 0.250, 0.166), B at (0.139, 0.582, 0.462) and Os at (0.177, 0.250, 0.681).

The calculation puts the uncorrected energy at -26.087 eV per atom. The value obtained for the calculated formation energy is -0.686 eV per atom. As for the total magnetic moment: 0.00 μB/cell.



# 4
VASP calculation (meta-GGA r2SCAN) on a relaxed structure of V2Pb3O8.

The space group is P2_1/c (No. 14) and the conventional cell measures 7.457, 6.330 and 9.410 Å, with angles of 90.00, 114.86 and 90.00 degrees. Symmetry generates all atoms from V at (0.204, 0.018, 0.403), Pb at (0.000, 0.000, 0.000), Pb at (0.387, 0.597, 0.290), O at (0.037, 0.542, 0.225), O at (0.248, 0.702, 0.025), O at (0.277, 0.238, 0.520) and O at (0.333, 0.525, 0.788).

The calculation puts the uncorrected energy at -20.891 eV per atom. The value obtained for the calculated formation energy is -2.059 eV per atom. As for the total magnetic moment: 0.00 μB/cell.